No. 1
First-principles (PBE) data for a relaxed structure of CuPtF6, as listed in the Materials Project database.

Computed properties:
uncorrected energy = -65.4 eV for the cell shown
calculated formation energy = -1.73 eV per atom

abc: 5.029 5.045 9.728
angles: 76.10 76.05 60.85
Space group P-1 (No. 2)
One atom of each set of equivalent atoms:
Cu 0.000 0.000 0.000 [1 per cell]
Cu 0.500 0.500 0.500 [1 per cell]
Pt 0.227 0.282 0.250 [2 per cell]
F 0.042 0.351 0.874 [2 per cell]
F 0.141 0.749 0.627 [2 per cell]
F 0.212 0.545 0.375 [2 per cell]
F 0.253 0.007 0.126 [2 per cell]
F 0.409 0.701 0.871 [2 per cell]
F 0.489 0.919 0.371 [2 per cell]

***

No. 2
First-principles (PBE) data for a relaxed structure of KMgNbO3, as listed in the Materials Project database.

Computed properties:
uncorrected energy = -78.5 eV for the cell shown
E above lowest polymorph = 0.185 eV/f.u.
calculated formation energy = -2.28 eV per atom

abc: 5.516 5.509 6.268
angles: 90.00 115.82 90.00
Space group Cm (No. 8)
One atom of each set of equivalent atoms:
K 0.000 0.000 0.000 [2 per cell]
Mg 0.343 0.000 0.691 [2 per cell]
Nb 0.200 0.500 0.404 [2 per cell]
O 0.025 0.500 0.057 [2 per cell]
O 0.040 0.250 0.585 [4 per cell]

***

No. 3
First-principles (PBE) data for a relaxed structure of BaCO3, as listed in the Materials Project database.

Computed properties:
uncorrected energy = -111.3 eV for the cell shown
calculated formation energy = -2.63 eV per atom

abc: 5.4391 5.4391 10.4130
angles: 90.00 90.00 120.00
Space group R32 (No. 155, hexagonal axes)
One atom of each set of equivalent atoms:
Ba 0.0000 0.0000 0.0000 [3 per cell]
C 0.0000 0.0000 0.5000 [3 per cell]
O 0.0000 0.7608 0.5000 [9 per cell]

***

No. 4
First-principles (PBE) data for a relaxed structure of LiCuPO4, as listed in the Materials Project database.

Computed properties:
uncorrected energy = -87.7 eV for the cell shown
maximum piezoelectric response = 0.618 C/m2
E above lowest polymorph = 0.014 eV/f.u.
calculated formation energy = -2.19 eV per atom

abc: 4.975 4.975 6.829
angles: 90.00 90.00 90.00
Space group I-4 (No. 82)
One atom of each set of equivalent atoms:
Li 0.000 0.000 0.000 [2 per cell]
Cu 0.000 0.000 0.500 [2 per cell]
P 0.000 0.500 0.750 [2 per cell]
O 0.180 0.315 0.621 [8 per cell]

***

No. 5
First-principles (PBE) data for a relaxed structure of ZnHg3, as listed in the Materials Project database.

Computed properties:
uncorrected energy = -1.7 eV for the cell shown
E above lowest polymorph = 0.053 eV/f.u.
calculated formation energy = 0.13 eV per atom

abc: 4.563 4.563 4.563
angles: 90.00 90.00 90.00
Space group Pm-3m (No. 221)
One atom of each set of equivalent atoms:
Zn 0.000 0.000 0.000 [1 per cell]
Hg 0.000 0.500 0.500 [3 per cell]

***

No. 6
First-principles (PBE) data for a relaxed structure of AgBiPbS3, as listed in the Materials Project database.

Computed properties:
uncorrected energy = -49.3 eV for the cell shown
calculated formation energy = -0.55 eV per atom

abc: 4.099 5.798 12.280
angles: 90.00 90.00 90.00
Space group Imm2 (No. 44)
One atom of each set of equivalent atoms:
Ag 0.000 0.000 0.000 [2 per cell]
Bi 0.000 0.000 0.667 [2 per cell]
Pb 0.000 0.000 0.332 [2 per cell]
S 0.000 0.500 0.011 [2 per cell]
S 0.000 0.500 0.331 [2 per cell]
S 0.000 0.500 0.659 [2 per cell]